(1)
The following is a DFT calculation (PBE) of a relaxed structure of Ac3Zn.

a b c (Å): 7.6670 7.6670 5.7979
angles (deg): 90.00 90.00 120.00
Space group P6_3/mmc (No. 194)
Symmetry-distinct sites (fractional):
Ac (0.1760, 0.3521, 0.2500) [6 per cell]
Zn (0.3333, 0.6667, 0.7500) [2 per cell]

Summary:
Mass density ... 8.40 g/cm3
Calculated volume ... 295 Å³ per cell
E_form ... 1.56 kcal/mol of atoms

=====

(2)
The following is a DFT calculation (PBE) of a relaxed structure of NaCa2IO6.

a b c (Å): 5.5938 5.8533 9.7685
angles (deg): 90.00 124.25 90.00
Space group P2_1/c (No. 14)
Symmetry-distinct sites (fractional):
Na (0.0000, 0.0000, 0.0000) [2 per cell]
Ca (0.2263, 0.0561, 0.7434) [4 per cell]
I (0.5000, 0.0000, 0.5000) [2 per cell]
O (0.1764, 0.1755, 0.4533) [4 per cell]
O (0.2620, 0.7320, 0.4260) [4 per cell]
O (0.3954, 0.0588, 0.2809) [4 per cell]

Summary:
Mass density ... 4.10 g/cm3
Calculated volume ... 264 Å³ per cell
E_form ... -51.32 kcal/mol of atoms

=====

(3)
The following is a DFT calculation (PBE) of a relaxed structure of NaTaIn3P3S3O24.

a b c (Å): 8.8431 8.8523 23.1885
angles (deg): 89.70 89.61 60.20
Space group P1 (No. 1)
Symmetry-distinct sites (fractional):
Na (0.0000, 0.0000, 0.0000) [1 per cell]
Na (0.0244, 0.9764, 0.5040) [1 per cell]
Na (0.6849, 0.6395, 0.1659) [1 per cell]
Ta (0.0262, 0.9861, 0.3489) [1 per cell]
Ta (0.3559, 0.3313, 0.6882) [1 per cell]
Ta (0.6844, 0.6652, 0.8111) [1 per cell]
In (0.0139, 0.9919, 0.8469) [1 per cell]
In (0.0191, 0.9981, 0.1463) [1 per cell]
In (0.0241, 0.9869, 0.6527) [1 per cell]
In (0.3429, 0.3390, 0.4787) [1 per cell]
In (0.3517, 0.3329, 0.1896) [1 per cell]
In (0.3666, 0.3164, 0.9765) [1 per cell]
In (0.6866, 0.6550, 0.0190) [1 per cell]
In (0.6873, 0.6590, 0.5217) [1 per cell]
In (0.6907, 0.6508, 0.3142) [1 per cell]
P (0.0201, 0.2846, 0.2477) [1 per cell]
P (0.0196, 0.6988, 0.7492) [1 per cell]
P (0.3111, 0.9956, 0.7494) [1 per cell]
P (0.3148, 0.7015, 0.2471) [1 per cell]
P (0.3499, 0.6210, 0.5817) [1 per cell]
P (0.6470, 0.3239, 0.0828) [1 per cell]
P (0.6909, 0.9452, 0.9170) [1 per cell]
P (0.7296, 0.2875, 0.7492) [1 per cell]
P (0.9719, 0.6644, 0.4165) [1 per cell]
S (0.0603, 0.6180, 0.0817) [1 per cell]
S (0.0659, 0.3205, 0.5835) [1 per cell]
S (0.3536, 0.0323, 0.0826) [1 per cell]
S (0.3890, 0.9527, 0.4161) [1 per cell]
S (0.3923, 0.6630, 0.9150) [1 per cell]
S (0.6409, 0.0404, 0.5823) [1 per cell]
S (0.6929, 0.3560, 0.4165) [1 per cell]
S (0.7298, 0.9906, 0.2499) [1 per cell]
S (0.9773, 0.3661, 0.9152) [1 per cell]
O (0.0019, 0.1889, 0.9087) [1 per cell]
O (0.0309, 0.1668, 0.3031) [1 per cell]
O (0.0399, 0.1684, 0.5896) [1 per cell]
O (0.0462, 0.7930, 0.0846) [1 per cell]
O (0.0729, 0.7604, 0.8022) [1 per cell]
O (0.1386, 0.5155, 0.1346) [1 per cell]
O (0.1446, 0.3634, 0.9183) [1 per cell]
O (0.1549, 0.5096, 0.4224) [1 per cell]
O (0.1606, 0.5353, 0.0283) [1 per cell]
O (0.1617, 0.3338, 0.6348) [1 per cell]
O (0.1695, 0.2882, 0.5301) [1 per cell]
O (0.1742, 0.5110, 0.7345) [1 per cell]
O (0.1879, 0.8024, 0.5890) [1 per cell]
O (0.1926, 0.2832, 0.2462) [1 per cell]
O (0.1948, 0.8045, 0.3030) [1 per cell]
O (0.1972, 0.0425, 0.8029) [1 per cell]
O (0.1984, 0.0080, 0.0841) [1 per cell]
O (0.2068, 0.9740, 0.4073) [1 per cell]
O (0.2199, 0.8204, 0.9085) [1 per cell]
O (0.2316, 0.8124, 0.1940) [1 per cell]
O (0.2503, 0.9420, 0.6962) [1 per cell]
O (0.3202, 0.5425, 0.5275) [1 per cell]
O (0.3208, 0.5276, 0.2483) [1 per cell]
O (0.3296, 0.1351, 0.0293) [1 per cell]
O (0.3444, 0.1493, 0.7336) [1 per cell]
O (0.3645, 0.5020, 0.6356) [1 per cell]
O (0.3654, 0.1269, 0.4239) [1 per cell]
O (0.3697, 0.1154, 0.1354) [1 per cell]
O (0.3793, 0.5041, 0.9165) [1 per cell]
O (0.4560, 0.8417, 0.4682) [1 per cell]
O (0.4680, 0.6874, 0.9680) [1 per cell]
O (0.4917, 0.6901, 0.2562) [1 per cell]
O (0.4920, 0.8753, 0.3638) [1 per cell]
O (0.4979, 0.8383, 0.7642) [1 per cell]
O (0.5058, 0.6446, 0.8633) [1 per cell]
O (0.5147, 0.8579, 0.0799) [1 per cell]
O (0.5199, 0.1186, 0.9169) [1 per cell]
O (0.5211, 0.6252, 0.5789) [1 per cell]
O (0.5323, 0.1340, 0.6346) [1 per cell]
O (0.5411, 0.3457, 0.1382) [1 per cell]
O (0.5424, 0.3159, 0.7343) [1 per cell]
O (0.5462, 0.3245, 0.4238) [1 per cell]
O (0.5627, 0.1408, 0.5292) [1 per cell]
O (0.5634, 0.1528, 0.2491) [1 per cell]
O (0.5653, 0.3045, 0.0268) [1 per cell]
O (0.6504, 0.8697, 0.5810) [1 per cell]
O (0.6580, 0.4643, 0.3648) [1 per cell]
O (0.6666, 0.4901, 0.0802) [1 per cell]
O (0.6791, 0.8399, 0.8629) [1 per cell]
O (0.6959, 0.4735, 0.7645) [1 per cell]
O (0.7070, 0.8380, 0.2571) [1 per cell]
O (0.7189, 0.8354, 0.9711) [1 per cell]
O (0.7297, 0.4284, 0.4685) [1 per cell]
O (0.7896, 0.1713, 0.8021) [1 per cell]
O (0.8159, 0.0229, 0.5878) [1 per cell]
O (0.8268, 0.0043, 0.3024) [1 per cell]
O (0.8310, 0.1583, 0.0848) [1 per cell]
O (0.8349, 0.9588, 0.1975) [1 per cell]
O (0.8416, 0.2211, 0.6951) [1 per cell]
O (0.8533, 0.9652, 0.9101) [1 per cell]
O (0.8544, 0.1801, 0.4070) [1 per cell]
O (0.8588, 0.7085, 0.4718) [1 per cell]
O (0.8607, 0.4663, 0.2551) [1 per cell]
O (0.8657, 0.6642, 0.7637) [1 per cell]
O (0.8725, 0.4375, 0.9681) [1 per cell]
O (0.8808, 0.4756, 0.8635) [1 per cell]
O (0.8817, 0.6401, 0.0794) [1 per cell]
O (0.8891, 0.6393, 0.3631) [1 per cell]
O (0.8983, 0.4845, 0.5807) [1 per cell]
O (0.9666, 0.8118, 0.6953) [1 per cell]
O (0.9834, 0.2083, 0.1948) [1 per cell]
O (0.9941, 0.8320, 0.4053) [1 per cell]

Summary:
Mass density ... 3.55 g/cm3
Calculated volume ... 1575 Å³ per cell
E_form ... -54.17 kcal/mol of atoms

=====

(4)
The following is a DFT calculation (PBE) of a relaxed structure of Ba4TbRu3O12.

a b c (Å): 5.9525 5.9525 29.5709
angles (deg): 90.00 90.00 120.00
Space group R-3m (No. 166, hexagonal axes)
Symmetry-distinct sites (fractional):
Ba (0.0000, 0.0000, 0.1293) [6 per cell]
Ba (0.0000, 0.0000, 0.2850) [6 per cell]
Tb (0.0000, 0.0000, 0.0000) [3 per cell]
Ru (0.0000, 0.0000, 0.4136) [6 per cell]
Ru (0.0000, 0.0000, 0.5000) [3 per cell]
O (0.0185, 0.5092, 0.2895) [18 per cell]
O (0.0232, 0.5116, 0.1244) [18 per cell]

Summary:
Mass density ... 6.61 g/cm3
Calculated volume ... 907 Å³ per cell
E_form ... -58.00 kcal/mol of atoms

=====

(5)
The following is a DFT calculation (PBE) of a relaxed structure of Ge3Pd.

a b c (Å): 4.1420 4.1420 4.1420
angles (deg): 90.00 90.00 90.00
Space group Pm-3m (No. 221)
Symmetry-distinct sites (fractional):
Ge (0.0000, 0.0000, 0.5000) [3 per cell]
Pd (0.5000, 0.5000, 0.5000) [1 per cell]

Summary:
Mass density ... 7.58 g/cm3
Calculated volume ... 71 Å³ per cell
E_form ... 1.53 kcal/mol of atoms

=====

(6)
The following is a DFT calculation (PBE) of a relaxed structure of TaBi4ClO8.

a b c (Å): 5.5244 5.5898 29.4257
angles (deg): 90.00 90.00 90.00
Space group Pbcn (No. 60)
Symmetry-distinct sites (fractional):
Ta (0.0000, 0.0114, 0.2500) [4 per cell]
Bi (0.0103, 0.0227, 0.5687) [8 per cell]
Bi (0.0232, 0.4366, 0.3428) [8 per cell]
Cl (0.0000, 0.5000, 0.0000) [4 per cell]
O (0.1002, 0.0615, 0.3147) [8 per cell]
O (0.2442, 0.2309, 0.1068) [8 per cell]
O (0.2465, 0.2909, 0.2349) [8 per cell]
O (0.2472, 0.2622, 0.8945) [8 per cell]

Summary:
Mass density ... 8.63 g/cm3
Calculated volume ... 909 Å³ per cell
E_form ... -48.03 kcal/mol of atoms